(1)
DFT (PBE with a Hubbard U) results for a relaxed structure of MoO4.

Structure (extended XYZ):
```
10
Lattice="3.727 -5.441 0.000 3.727 5.441 0.000 -3.399 0.000 3.718" Properties=species:S:1:pos:R:3 pbc="T T T"
Mo 1.177 4.120 2.789
Mo 2.877 -4.120 0.930
O -0.232 3.066 3.094
O -0.557 0.272 2.431
O 1.143 -0.272 0.572
O 2.586 3.066 2.483
O 1.468 -3.066 1.235
O 2.911 0.272 3.146
O 4.611 -0.272 1.287
O 4.286 -3.066 0.624
```

## Properties
Crystal system: monoclinic
Formation enthalpy at 0 K, eV/atom: -1.0333
Polymorph energy (0 for the lowest one), meV per atom: 37
Magnetization, μB per formula unit: 2.00

(2)
DFT (PBE with a Hubbard U) results for a relaxed structure of FeAsO3.

Structure (extended XYZ):
```
5
Lattice="3.799 0.000 0.000 0.000 3.799 0.000 0.000 0.000 3.799" Properties=species:S:1:pos:R:3 pbc="T T T"
Fe 0.000 0.000 0.000
As 1.900 1.900 1.900
O 0.000 1.900 1.900
O 1.900 0.000 1.900
O 1.900 1.900 0.000
```

## Properties
Crystal system: cubic
Formation enthalpy at 0 K, eV/atom: -0.8882
Magnetization, μB per formula unit: 3.63

(3)
DFT (PBE with a Hubbard U) results for a relaxed structure of LiLuZnFeO4.

Structure (extended XYZ):
```
16
Lattice="5.707 0.000 0.000 0.000 3.301 0.000 -1.657 0.000 10.434" Properties=species:S:1:pos:R:3 pbc="T T T"
Li 0.000 0.000 0.000
Li 2.853 1.651 0.000
Lu 1.938 0.000 2.529
Lu 4.792 1.651 2.529
Zn -0.737 1.651 8.377
Zn 2.117 0.000 8.377
Fe 0.207 0.000 5.655
Fe 3.061 1.651 5.655
O -0.787 1.651 6.401
O 0.028 0.000 3.650
O 0.983 1.651 1.392
O 0.212 0.000 9.154
O 2.067 0.000 6.401
O 2.882 1.651 3.650
O 3.836 0.000 1.392
O 3.065 1.651 9.154
```

## Properties
Crystal system: monoclinic
Formation enthalpy at 0 K, eV/atom: -2.4363
Polymorph energy (0 for the lowest one), meV per atom: 0
Magnetization, μB per formula unit: 4.00

(4)
DFT (PBE with a Hubbard U) results for a relaxed structure of KV6O14.

Structure (extended XYZ):
```
42
Lattice="7.249 0.000 0.000 -1.790 8.569 0.000 -0.032 -2.598 10.232" Properties=species:S:1:pos:R:3 pbc="T T T"
K 0.898 4.036 0.959
K 4.528 1.935 9.274
V -0.914 5.972 4.058
V -0.878 7.664 0.826
V 0.905 0.655 3.703
V 0.901 5.180 6.502
V 2.694 -1.759 9.316
V 2.689 -0.067 6.163
V 2.738 6.039 4.070
V 2.733 7.730 0.917
V 4.526 0.791 3.730
V 4.522 5.317 6.530
V 6.305 -1.693 9.406
V 6.341 -0.001 6.175
O -0.893 4.766 2.972
O -0.994 5.087 5.852
O -0.873 6.092 0.370
O -0.880 7.647 2.843
O 0.922 -2.348 9.437
O 0.944 -0.411 5.650
O 0.920 1.759 2.495
O 0.918 4.140 7.754
O 0.967 6.255 4.615
O 0.966 8.354 0.799
O 2.712 -1.620 7.425
O 2.630 0.910 4.409
O 2.700 -0.201 9.794
O 2.685 1.148 7.234
O 2.742 4.823 2.999
O 2.726 6.172 0.439
O 2.796 5.061 5.824
O 2.715 7.592 2.808
O 4.461 -2.382 9.434
O 4.459 -0.283 5.618
O 4.508 1.831 2.478
O 4.506 4.213 7.737
O 4.482 6.383 4.583
O 4.505 8.319 0.796
O 6.307 -1.676 7.390
O 6.299 -0.121 9.862
O 6.421 0.884 4.381
O 6.319 1.206 7.261
```

## Properties
Crystal system: triclinic
Formation enthalpy at 0 K, eV/atom: -2.3511
Magnetization, μB per formula unit: 3.00

(5)
DFT (PBE with a Hubbard U) results for a relaxed structure of Li9Mn7O16.

Structure (extended XYZ):
```
32
Lattice="5.097 0.000 0.000 -0.752 6.437 0.000 -1.554 -1.462 9.142" Properties=species:S:1:pos:R:3 pbc="T T T"
Li 0.000 0.000 0.000
Li -0.614 3.266 7.546
Li -0.411 5.186 5.319
Li 0.828 2.714 0.546
Li 0.636 0.769 2.830
Li 2.155 4.206 6.312
Li 1.963 2.261 8.596
Li 3.202 -0.211 3.823
Li 3.405 1.709 1.596
Mn -1.153 2.487 4.571
Mn -0.885 4.501 2.152
Mn 1.251 1.488 5.755
Mn 1.065 -0.487 8.099
Mn 1.727 5.462 1.042
Mn 1.541 3.486 3.387
Mn 3.676 0.474 6.990
O -1.289 5.212 7.170
O -0.303 0.734 4.839
O -0.058 2.740 2.551
O 0.195 4.640 0.300
O 0.209 1.231 7.745
O 0.445 3.257 5.408
O 0.817 5.292 2.866
O 1.793 0.797 0.699
O 0.998 4.177 8.443
O 1.974 -0.318 6.276
O 2.346 1.718 3.734
O 2.582 3.743 1.396
O 2.596 0.335 8.842
O 2.849 2.235 6.590
O 3.095 4.241 4.303
O 4.080 -0.238 1.971
```

## Properties
Crystal system: triclinic
Formation enthalpy at 0 K, eV/atom: -2.1425
Polymorph energy (0 for the lowest one), meV per atom: 2
Magnetization, μB per formula unit: 26.00

(6)
DFT (PBE with a Hubbard U) results for a relaxed structure of Fe4CoBi5O15.

Structure (extended XYZ):
```
50
Lattice="5.608 0.000 0.000 2.797 4.931 0.000 0.100 3.105 22.977" Properties=species:S:1:pos:R:3 pbc="T T T"
Fe 0.000 0.000 0.000
Fe 0.855 1.442 6.899
Fe 1.736 2.875 13.838
Fe 3.376 2.588 4.589
Fe 4.245 4.015 11.522
Fe 5.115 5.474 18.463
Fe 6.758 5.194 9.204
Fe 7.625 6.651 16.141
Co 2.618 4.198 20.763
Co 5.881 3.712 2.307
Bi 0.419 1.025 3.312
Bi 1.286 2.470 10.248
Bi 2.159 3.940 17.222
Bi 2.924 2.219 1.019
Bi 3.791 3.647 7.922
Bi 4.657 5.079 14.865
Bi 5.548 6.451 21.743
Bi 6.292 4.795 5.592
Bi 7.183 6.227 12.557
Bi 5.267 2.763 19.501
O 1.194 4.471 19.330
O 1.614 3.136 3.818
O 2.352 5.967 21.961
O 0.831 2.254 15.379
O 2.334 4.601 15.141
O 1.208 3.334 21.552
O 2.816 4.173 10.033
O 3.338 6.013 17.685
O 3.975 5.731 12.846
O 2.451 1.981 6.114
O 3.963 4.321 5.889
O 2.793 3.002 12.339
O 4.388 3.951 0.846
O 4.968 5.740 8.427
O 2.840 0.562 3.596
O 4.174 4.829 20.003
O 5.677 7.227 19.762
O 4.479 2.797 3.147
O 6.187 6.793 14.663
O 3.911 3.686 22.201
O 4.597 3.447 17.475
O 5.845 4.556 10.753
O 4.557 1.970 10.535
O 6.199 5.635 17.000
O 5.024 1.591 5.420
O 5.537 3.397 13.063
O 6.204 3.156 8.207
O 7.445 4.315 1.507
O 6.155 1.745 1.297
O 7.831 5.352 7.721
```

## Properties
Crystal system: triclinic
Formation enthalpy at 0 K, eV/atom: -0.7856
Polymorph energy (0 for the lowest one), meV per atom: 806
Magnetization, μB per formula unit: 0.02

(7)
DFT (PBE with a Hubbard U) results for a relaxed structure of Sr5MnFe4O10.

Structure (extended XYZ):
```
40
Lattice="5.355 0.000 0.000 -0.863 5.286 0.000 -2.242 -2.640 20.484" Properties=species:S:1:pos:R:3 pbc="T T T"
Sr 0.000 0.000 0.000
Sr 0.000 -0.003 4.041
Sr 0.003 -0.001 8.106
Sr 0.006 0.004 12.173
Sr 0.005 0.005 16.218
Sr 0.004 0.002 20.484
Sr 2.246 2.641 4.041
Sr 2.249 2.643 8.106
Sr 2.253 2.646 12.173
Sr 2.251 2.648 16.218
Mn -0.429 2.645 18.349
Mn 2.682 0.006 18.347
Fe -0.432 2.638 2.021
Fe -0.430 2.641 6.069
Fe -0.425 2.643 10.134
Fe -0.424 2.650 14.206
Fe 2.676 -0.002 2.021
Fe 2.678 -0.002 6.070
Fe 2.682 0.003 10.135
Fe 2.683 0.007 14.207
O -0.427 2.648 0.001
O -0.434 2.637 4.043
O -1.113 -1.311 14.212
O -1.121 -1.319 18.350
O -0.428 2.643 8.103
O 1.118 1.314 2.008
O -0.423 2.651 12.171
O -0.424 2.653 16.225
O 1.126 1.322 6.067
O 1.127 1.321 10.143
O 2.682 0.005 0.001
O 2.674 -0.005 4.043
O 1.133 1.332 14.212
O 2.681 0.000 8.103
O 1.125 1.324 18.350
O 2.686 0.008 12.171
O 3.364 3.957 2.008
O 2.685 0.010 16.224
O 3.372 3.965 6.067
O 3.373 3.964 10.142
```

## Properties
Crystal system: triclinic
Formation enthalpy at 0 K, eV/atom: -2.3094
Polymorph energy (0 for the lowest one), meV per atom: 2
Magnetization, μB per formula unit: 0.00

(8)
DFT (PBE with a Hubbard U) results for a relaxed structure of CrHO2.

Structure (extended XYZ):
```
16
Lattice="4.837 0.000 0.000 0.000 6.115 0.000 -1.939 0.000 4.932" Properties=species:S:1:pos:R:3 pbc="T T T"
Cr -0.487 0.767 1.267
Cr -1.457 2.290 3.733
Cr 4.355 3.824 1.199
Cr 3.385 5.348 3.665
H 0.819 3.818 3.625
H 1.789 5.354 1.159
H 1.109 0.761 3.773
H 2.079 2.297 1.307
O -0.217 0.771 3.250
O 0.752 2.287 0.784
O -0.180 3.810 3.238
O 0.790 5.362 0.772
O 2.109 0.753 4.160
O 3.078 2.305 1.694
O 2.146 3.828 4.148
O 3.115 5.344 1.682
```

## Properties
Crystal system: monoclinic
Formation enthalpy at 0 K, eV/atom: -1.9859

(9)
DFT (PBE with a Hubbard U) results for a relaxed structure of K2FeH12S2O14.

Structure (extended XYZ):
```
62
Lattice="6.251 0.000 0.000 0.000 12.448 0.000 -2.199 0.000 8.828" Properties=species:S:1:pos:R:3 pbc="T T T"
K 0.165 1.918 3.221
K -0.935 4.306 7.635
K 4.988 8.142 1.193
K 3.888 10.530 5.607
Fe 3.126 0.000 0.000
Fe 2.026 6.224 4.414
H -0.334 7.013 5.336
H 0.765 11.659 0.922
H 0.009 8.044 4.166
H -1.090 10.629 8.580
H -0.636 1.126 6.860
H 0.464 5.099 2.446
H 0.882 1.560 6.588
H 1.981 4.664 2.174
H 2.175 7.529 1.990
H 1.075 11.143 6.404
H 2.336 8.624 3.126
H 1.236 10.048 7.540
H 2.816 2.400 1.288
H 1.717 3.824 5.702
H 2.978 1.305 2.424
H 1.878 4.919 6.838
H 2.071 7.784 6.654
H 3.171 10.888 2.240
H 3.589 7.350 6.382
H 4.689 11.323 1.968
H 5.143 1.820 0.248
H 4.044 4.404 4.662
H 3.288 0.789 7.906
H 4.387 5.435 3.492
S -0.582 7.937 8.037
S 0.518 10.735 3.623
S 3.535 1.713 5.205
S 4.635 4.511 0.791
O -1.479 9.135 7.992
O -0.380 9.537 3.578
O -0.987 7.012 6.928
O 0.113 11.660 2.514
O 0.131 7.097 4.461
O 1.230 11.575 0.047
O 1.448 7.227 0.503
O 0.348 11.445 4.917
O 0.209 1.412 7.300
O 1.308 4.812 2.886
O 0.847 8.364 7.860
O 1.946 10.309 3.445
O 2.543 1.477 1.540
O 1.444 4.747 5.954
O 2.609 7.701 2.874
O 1.509 10.971 7.288
O 2.107 2.139 5.383
O 3.206 4.085 0.969
O 2.745 7.636 5.942
O 3.844 11.037 1.528
O 3.704 1.003 3.911
O 2.605 5.221 8.325
O 2.823 0.873 8.781
O 3.922 5.351 4.367
O 3.940 0.788 6.315
O 5.039 5.436 1.901
O 4.433 2.911 5.250
O 5.532 3.313 0.836
```

## Properties
Crystal system: monoclinic
Formation enthalpy at 0 K, eV/atom: -1.6241
Magnetization, μB per formula unit: 4.00

(10)
DFT (PBE with a Hubbard U) results for a relaxed structure of LiFeOF2.

Structure (extended XYZ):
```
40
Lattice="5.297 0.000 0.000 0.016 8.955 0.000 1.459 0.046 9.757" Properties=species:S:1:pos:R:3 pbc="T T T"
Li 0.000 0.000 0.000
Li 0.833 4.403 5.034
Li 1.576 8.969 6.116
Li 0.954 4.472 1.364
Li 2.661 1.642 0.115
Li 3.489 6.053 5.059
Li 4.226 1.704 6.090
Li 3.639 6.055 1.348
Fe 1.612 6.155 7.829
Fe 0.924 1.695 3.251
Fe 0.927 7.388 3.212
Fe 1.623 2.928 7.881
Fe 3.434 3.130 3.225
Fe 3.433 0.183 3.165
Fe 4.255 4.479 7.849
Fe 4.285 7.731 7.858
O 1.702 8.933 4.112
O 1.814 3.025 4.211
O 3.297 3.104 7.034
O 2.603 1.567 2.084
O 3.421 6.117 7.071
O 4.410 1.575 4.108
O 5.942 7.524 7.028
O 6.056 4.539 7.044
F 2.265 1.682 9.267
F 1.656 6.075 4.410
F 2.515 4.583 9.165
F 2.537 7.533 9.083
F 2.618 7.516 2.097
F 3.395 0.061 6.704
F 2.768 4.509 1.946
F 4.918 8.982 9.251
F 4.331 4.517 4.360
F 4.434 7.538 4.110
F 5.190 6.044 9.174
F 5.184 3.143 9.096
F 5.218 3.037 2.056
F 5.253 8.892 2.010
F 6.027 1.583 6.802
F 5.462 6.120 1.945
```

## Properties
Crystal system: triclinic
Formation enthalpy at 0 K, eV/atom: -2.4729
Polymorph energy (0 for the lowest one), meV per atom: 46
Magnetization, μB per formula unit: 5.00